[1]
# Li7Mn4P8O28 (PBE with a Hubbard U, relaxed)
# Mass density: 2.96 Mg/m³
# E: -7.02 eV per atom
# Spin magnetization: 0.404 μB per atom
data_Li7Mn4P8O28
_chemical_formula_sum 'Li14 Mn8 P16 O56'
_cell_length_a 9.900
_cell_length_b 9.904
_cell_length_c 11.325
_cell_angle_alpha 102.66
_cell_angle_beta 90.21
_cell_angle_gamma 90.34
_space_group_name_H-M_alt 'P 1'
_space_group_IT_number 1
loop_
_space_group_symop_operation_xyz
'x,y,z'
loop_
_atom_site_label
_atom_site_fract_x
_atom_site_fract_y
_atom_site_fract_z
Li1 0.000 0.000 0.000
Li2 0.010 0.009 0.500
Li3 0.027 0.579 0.514
Li4 0.207 0.778 0.992
Li5 0.312 0.079 0.513
Li6 0.330 0.510 0.497
Li7 0.339 0.493 0.997
Li8 0.511 0.819 0.586
Li9 0.528 0.248 0.572
Li10 0.640 0.559 0.095
Li11 0.696 0.046 0.094
Li12 0.813 0.750 0.571
Li13 0.829 0.319 0.586
Li14 0.851 0.327 0.083
Mn1 0.001 0.865 0.216
Mn2 0.136 0.407 0.722
Mn3 0.204 0.912 0.721
Mn4 0.340 0.364 0.213
Mn5 0.494 0.960 0.875
Mn6 0.635 0.419 0.365
Mn7 0.705 0.917 0.362
Mn8 0.844 0.463 0.871
P1 0.072 0.540 0.117
P2 0.124 0.283 0.434
P3 0.217 0.783 0.434
P4 0.273 0.042 0.116
P5 0.353 0.224 0.786
P6 0.374 0.637 0.782
P7 0.464 0.687 0.300
P8 0.488 0.105 0.299
P9 0.570 0.287 0.968
P10 0.624 0.545 0.651
P11 0.715 0.045 0.650
P12 0.769 0.789 0.967
P13 0.853 0.604 0.298
P14 0.873 0.189 0.303
P15 0.966 0.139 0.785
P16 0.989 0.723 0.786
O1 0.000 0.139 0.913
O2 0.001 0.551 0.248
O3 0.008 0.577 0.810
O4 0.022 0.260 0.319
O5 0.056 0.052 0.686
O6 0.056 0.387 0.541
O7 0.085 0.688 0.097
O8 0.091 0.847 0.390
O9 0.095 0.827 0.856
O10 0.131 0.982 0.126
O11 0.143 0.144 0.467
O12 0.197 0.644 0.467
O13 0.214 0.482 0.132
O14 0.249 0.347 0.388
O15 0.251 0.331 0.850
O16 0.269 0.195 0.107
O17 0.283 0.549 0.684
O18 0.288 0.887 0.540
O19 0.317 0.759 0.318
O20 0.332 0.637 0.910
O21 0.337 0.078 0.813
O22 0.344 0.043 0.246
O23 0.349 0.945 0.016
O24 0.358 0.223 0.652
O25 0.389 0.787 0.758
O26 0.446 0.536 0.326
O27 0.482 0.105 0.432
O28 0.484 0.387 0.061
O29 0.499 0.254 0.271
O30 0.502 0.278 0.838
O31 0.505 0.683 0.172
O32 0.522 0.568 0.767
O33 0.553 0.441 0.546
O34 0.555 0.773 0.399
O35 0.578 0.138 0.988
O36 0.590 0.981 0.695
O37 0.601 0.012 0.236
O38 0.633 0.856 0.953
O39 0.644 0.684 0.618
O40 0.697 0.184 0.617
O41 0.711 0.350 0.961
O42 0.747 0.500 0.229
O43 0.749 0.482 0.697
O44 0.757 0.641 0.985
O45 0.784 0.280 0.399
O46 0.785 0.941 0.544
O47 0.817 0.069 0.764
O48 0.834 0.187 0.173
O49 0.834 0.750 0.273
O50 0.843 0.776 0.837
O51 0.855 0.600 0.431
O52 0.857 0.887 0.060
O53 0.887 0.041 0.329
O54 0.955 0.289 0.758
O55 0.980 0.446 0.026
O56 0.986 0.728 0.654

[2]
# LiCoPO4 (PBE with a Hubbard U, relaxed)
# Mass density: 3.08 Mg/m³
# E: -6.67 eV per atom
# Spin magnetization: 0.429 μB per atom
data_LiCoPO4
_chemical_formula_sum 'Li8 Co8 P8 O32'
_cell_length_a 10.077
_cell_length_b 5.056
_cell_length_c 13.616
_cell_angle_alpha 90.00
_cell_angle_beta 90.00
_cell_angle_gamma 90.00
_space_group_name_H-M_alt 'P c a 21'
_space_group_IT_number 29
loop_
_space_group_symop_operation_xyz
'x,y,z'
'-x,-y,z+1/2'
'-x+1/2,y,z+1/2'
'x+1/2,-y,z'
loop_
_atom_site_label
_atom_site_fract_x
_atom_site_fract_y
_atom_site_fract_z
Li1 0.031 0.072 0.000
Li2 0.220 0.447 0.250
Co1 0.036 0.939 0.251
Co2 0.217 0.445 0.500
P1 0.031 0.565 0.875
P2 0.215 0.947 0.627
O1 0.001 0.867 0.875
O2 0.032 0.558 0.469
O3 0.033 0.556 0.281
O4 0.064 0.003 0.628
O5 0.182 0.508 0.876
O6 0.221 0.064 0.221
O7 0.225 0.078 0.033
O8 0.245 0.645 0.624

[3]
# Li3V3P8O29 (PBE with a Hubbard U, relaxed)
# Mass density: 2.49 Mg/m³
# E: -7.05 eV per atom
# Spin magnetization: 0.000 μB per atom
data_Li3V3P8O29
_chemical_formula_sum 'Li6 V6 P16 O58'
_cell_length_a 9.7807
_cell_length_b 9.7807
_cell_length_c 14.2284
_cell_angle_alpha 90.00
_cell_angle_beta 90.00
_cell_angle_gamma 120.00
_space_group_name_H-M_alt 'P 3 c 1'
_space_group_IT_number 158
loop_
_space_group_symop_operation_xyz
'x,y,z'
'-y,x-y,z'
'-x+y,-x,z'
'-y,-x,z+1/2'
'-x+y,y,z+1/2'
'x,x-y,z+1/2'
loop_
_atom_site_label
_atom_site_fract_x
_atom_site_fract_y
_atom_site_fract_z
Li1 0.1079 0.3530 0.0000
V1 0.3347 0.1018 0.8058
P1 0.0000 0.0000 0.4276
P2 0.0184 0.4382 0.3971
P3 0.1037 0.3496 0.2156
P4 0.6667 0.3333 0.1882
O1 0.0000 0.0000 0.0321
O2 0.0012 0.1513 0.8867
O3 0.0771 0.3246 0.7280
O4 0.0933 0.4139 0.1239
O5 0.1042 0.4291 0.4802
O6 0.1188 0.4634 0.3010
O7 0.2369 0.0491 0.2372
O8 0.4172 0.0071 0.8973
O9 0.4274 0.1427 0.3798
O10 0.5172 0.1861 0.7332
O11 0.6667 0.3333 0.0847

> What is the formula in the second record?

LiCoPO4

> The highest E belongs to which entry?

LiCoPO4